{
  "formula": "KNa7V7CrO20",
  "functional": "PBE+U",
  "state": "relaxed",
  "cell": [[-0.001, 0.042, 10.876], [11.180, -0.002, -0.001], [-5.592, 14.600, -5.379]],
  "species": ["K", "K", "K", "K", "Na", "Na", "Na", "Na", "Na", "Na", "Na", "Na", "Na", "Na", "Na", "Na", "Na", "Na", "Na", "Na", "Na", "Na", "Na", "Na", "Na", "Na", "Na", "Na", "Na", "Na", "Na", "Na", "V", "V", "V", "V", "V", "V", "V", "V", "V", "V", "V", "V", "V", "V", "V", "V", "V", "V", "V", "V", "V", "V", "V", "V", "V", "V", "V", "V", "Cr", "Cr", "Cr", "Cr", "O", "O", "O", "O", "O", "O", "O", "O", "O", "O", "O", "O", "O", "O", "O", "O", "O", "O", "O", "O", "O", "O", "O", "O", "O", "O", "O", "O", "O", "O", "O", "O", "O", "O", "O", "O", "O", "O", "O", "O", "O", "O", "O", "O", "O", "O", "O", "O", "O", "O", "O", "O", "O", "O", "O", "O", "O", "O", "O", "O", "O", "O", "O", "O", "O", "O", "O", "O", "O", "O", "O", "O", "O", "O", "O", "O", "O", "O", "O", "O"],
  "fractional_positions": [[0.306, 0.063, 0.112], [0.805, 0.064, 0.112], [0.057, 0.796, 0.113], [0.556, 0.797, 0.114], [0.304, 0.068, 0.608], [0.301, 0.566, 0.104], [0.304, 0.568, 0.608], [0.804, 0.068, 0.608], [0.803, 0.565, 0.104], [0.804, 0.567, 0.608], [0.198, 0.434, 0.394], [0.196, 0.433, 0.893], [0.198, 0.933, 0.395], [0.198, 0.933, 0.893], [0.698, 0.434, 0.394], [0.699, 0.434, 0.894], [0.698, 0.933, 0.395], [0.697, 0.933, 0.893], [0.054, 0.291, 0.105], [0.054, 0.290, 0.608], [0.054, 0.790, 0.608], [0.553, 0.290, 0.105], [0.554, 0.290, 0.607], [0.554, 0.790, 0.608], [0.448, 0.212, 0.395], [0.448, 0.210, 0.893], [0.448, 0.709, 0.394], [0.445, 0.710, 0.893], [0.948, 0.212, 0.395], [0.949, 0.212, 0.893], [0.948, 0.710, 0.394], [0.951, 0.709, 0.893], [0.006, 0.999, 0.500], [0.006, 0.500, 0.500], [0.506, 0.999, 0.500], [0.502, 0.497, 0.997], [0.505, 0.499, 0.500], [0.254, 0.250, 0.997], [0.256, 0.251, 0.500], [0.256, 0.750, 0.500], [0.756, 0.249, 0.996], [0.756, 0.251, 0.501], [0.750, 0.745, 0.991], [0.756, 0.750, 0.500], [0.111, 0.096, 0.254], [0.104, 0.090, 0.750], [0.104, 0.587, 0.250], [0.103, 0.588, 0.749], [0.611, 0.096, 0.254], [0.604, 0.091, 0.750], [0.604, 0.587, 0.250], [0.602, 0.586, 0.748], [0.354, 0.413, 0.250], [0.354, 0.409, 0.750], [0.361, 0.909, 0.255], [0.354, 0.911, 0.750], [0.854, 0.413, 0.250], [0.855, 0.410, 0.751], [0.861, 0.909, 0.255], [0.853, 0.911, 0.749], [0.002, 0.999, 0.995], [0.006, 0.499, 0.998], [0.501, 0.998, 0.995], [0.246, 0.752, 0.994], [0.134, 0.129, 0.490], [0.126, 0.128, 0.987], [0.133, 0.629, 0.490], [0.131, 0.617, 0.983], [0.634, 0.129, 0.490], [0.627, 0.132, 0.988], [0.633, 0.628, 0.490], [0.630, 0.622, 0.986], [0.140, 0.372, 0.008], [0.130, 0.388, 0.511], [0.131, 0.873, 0.003], [0.131, 0.888, 0.513], [0.634, 0.380, 0.007], [0.630, 0.388, 0.511], [0.635, 0.867, 0.000], [0.631, 0.888, 0.512], [0.384, 0.111, 0.490], [0.369, 0.125, 0.986], [0.383, 0.611, 0.490], [0.381, 0.606, 0.987], [0.884, 0.111, 0.490], [0.868, 0.127, 0.986], [0.883, 0.611, 0.490], [0.868, 0.621, 0.986], [0.381, 0.373, 0.008], [0.381, 0.374, 0.512], [0.379, 0.870, 0.002], [0.380, 0.873, 0.511], [0.878, 0.375, 0.008], [0.881, 0.374, 0.512], [0.875, 0.870, 0.001], [0.880, 0.873, 0.511], [0.073, 0.095, 0.140], [0.084, 0.100, 0.642], [0.081, 0.584, 0.139], [0.083, 0.600, 0.641], [0.575, 0.094, 0.140], [0.584, 0.100, 0.642], [0.583, 0.584, 0.139], [0.583, 0.599, 0.641], [0.442, 0.401, 0.358], [0.443, 0.398, 0.858], [0.446, 0.895, 0.362], [0.444, 0.903, 0.858], [0.941, 0.400, 0.358], [0.941, 0.399, 0.859], [0.946, 0.895, 0.362], [0.940, 0.903, 0.858], [0.331, 0.302, 0.139], [0.333, 0.292, 0.642], [0.325, 0.796, 0.142], [0.333, 0.792, 0.642], [0.829, 0.304, 0.138], [0.834, 0.292, 0.642], [0.825, 0.797, 0.142], [0.833, 0.792, 0.642], [0.196, 0.216, 0.361], [0.191, 0.209, 0.858], [0.191, 0.707, 0.358], [0.191, 0.707, 0.856], [0.696, 0.217, 0.361], [0.691, 0.210, 0.859], [0.692, 0.707, 0.358], [0.691, 0.705, 0.856], [0.449, 0.059, 0.263], [0.433, 0.061, 0.749], [0.433, 0.563, 0.251], [0.433, 0.559, 0.750], [0.949, 0.059, 0.263], [0.933, 0.060, 0.750], [0.933, 0.563, 0.252], [0.933, 0.559, 0.750], [0.183, 0.438, 0.252], [0.183, 0.439, 0.750], [0.199, 0.956, 0.263], [0.183, 0.941, 0.750], [0.683, 0.438, 0.252], [0.683, 0.439, 0.749], [0.699, 0.956, 0.264], [0.683, 0.942, 0.750]],
  "ef_kj_per_mol_fu": -7897,
  "final_energy_ev_per_atom": -6.58
}

{
  "formula": "KNa7V6Cr2O24",
  "functional": "PBE+U",
  "state": "relaxed",
  "cell": [[7.557, -0.003, 0.000], [-0.003, 7.557, 0.000], [0.000, 0.000, 7.580]],
  "species": ["K", "Na", "Na", "Na", "Na", "Na", "Na", "Na", "V", "V", "V", "V", "V", "V", "Cr", "Cr", "O", "O", "O", "O", "O", "O", "O", "O", "O", "O", "O", "O", "O", "O", "O", "O", "O", "O", "O", "O", "O", "O", "O", "O"],
  "fractional_positions": [[0.249, 0.751, 0.250], [0.250, 0.250, 0.250], [0.249, 0.249, 0.750], [0.250, 0.750, 0.750], [0.750, 0.250, 0.250], [0.750, 0.250, 0.750], [0.750, 0.750, 0.250], [0.751, 0.751, 0.750], [0.999, 0.499, 0.999], [0.999, 0.499, 0.501], [0.501, 0.001, 0.999], [0.501, 0.001, 0.501], [0.501, 0.499, 0.999], [0.501, 0.499, 0.501], [0.000, 0.000, 0.000], [0.000, 0.000, 0.500], [0.252, 0.002, 0.998], [0.252, 0.002, 0.502], [0.250, 0.498, 0.998], [0.250, 0.498, 0.502], [0.748, 0.000, 0.000], [0.748, 0.000, 0.500], [0.750, 0.500, 0.000], [0.750, 0.500, 0.500], [0.000, 0.252, 0.000], [0.000, 0.252, 0.500], [0.998, 0.748, 0.998], [0.998, 0.748, 0.502], [0.500, 0.250, 0.000], [0.500, 0.250, 0.500], [0.502, 0.750, 0.998], [0.502, 0.750, 0.502], [0.998, 0.002, 0.250], [0.000, 0.000, 0.750], [0.998, 0.498, 0.250], [0.000, 0.500, 0.750], [0.502, 0.002, 0.250], [0.500, 0.000, 0.750], [0.502, 0.498, 0.250], [0.500, 0.500, 0.750]],
  "ef_kj_per_mol_fu": -8111,
  "final_energy_ev_per_atom": -6.41
}

{
  "formula": "KCrO2",
  "functional": "PBE+U",
  "state": "relaxed",
  "cell": [[2.222, -3.849, 0.000], [2.222, 3.849, 0.000], [0.000, 0.000, 8.319]],
  "species": ["K", "Cr", "O", "O"],
  "fractional_positions": [[0.000, 0.000, 0.000], [0.000, 0.000, 0.500], [0.000, 0.000, 0.293], [0.000, 0.000, 0.707]],
  "ef_kj_per_mol_fu": -436,
  "e_above_lowest_polymorph_kj_per_mol_fu": 383.5,
  "final_energy_ev_per_atom": -5.45
}

{
  "formula": "KCr4O8",
  "functional": "PBE+U",
  "state": "relaxed",
  "cell": [[-0.858, 4.092, 5.853], [-2.137, -3.943, -5.623], [1.521, -5.838, 3.918]],
  "species": ["K", "Cr", "Cr", "Cr", "Cr", "O", "O", "O", "O", "O", "O", "O", "O"],
  "fractional_positions": [[0.500, 0.500, 0.000], [0.835, 0.348, 0.184], [0.165, 0.652, 0.816], [0.348, 0.165, 0.513], [0.652, 0.835, 0.487], [0.798, 0.155, 0.952], [0.202, 0.845, 0.048], [0.155, 0.202, 0.357], [0.845, 0.798, 0.643], [0.837, 0.540, 0.377], [0.163, 0.460, 0.623], [0.540, 0.163, 0.702], [0.460, 0.837, 0.298]],
  "ef_kj_per_mol_fu": -2696,
  "final_energy_ev_per_atom": -7.21
}

{
  "formula": "K2Cr4O13",
  "functional": "PBE+U",
  "state": "relaxed",
  "cell": [[-5.469, 4.020, 3.640], [-1.097, -6.731, 5.785], [6.566, 3.516, 5.982]],
  "species": ["K", "K", "K", "K", "Cr", "Cr", "Cr", "Cr", "Cr", "Cr", "Cr", "Cr", "O", "O", "O", "O", "O", "O", "O", "O", "O", "O", "O", "O", "O", "O", "O", "O", "O", "O", "O", "O", "O", "O", "O", "O", "O", "O"],
  "fractional_positions": [[0.594, 0.803, 0.757], [0.406, 0.803, 0.257], [0.104, 0.544, 0.896], [0.896, 0.544, 0.396], [0.572, 0.515, 0.032], [0.428, 0.515, 0.532], [0.566, 0.172, 0.987], [0.434, 0.172, 0.487], [0.893, 0.181, 0.756], [0.107, 0.181, 0.256], [0.070, 0.858, 0.632], [0.930, 0.858, 0.132], [0.741, 0.532, 0.932], [0.259, 0.532, 0.432], [0.457, 0.342, 0.992], [0.543, 0.342, 0.492], [0.439, 0.655, 0.000], [0.561, 0.655, 0.500], [0.627, 0.511, 0.196], [0.373, 0.511, 0.696], [0.431, 0.036, 0.004], [0.569, 0.036, 0.504], [0.701, 0.163, 0.114], [0.299, 0.163, 0.614], [0.678, 0.160, 0.825], [0.322, 0.160, 0.325], [0.897, 0.329, 0.655], [0.103, 0.329, 0.155], [0.028, 0.202, 0.880], [0.972, 0.202, 0.380], [0.151, 0.871, 0.474], [0.849, 0.871, 0.974], [0.225, 0.836, 0.746], [0.775, 0.836, 0.246], [0.938, 0.023, 0.665], [0.062, 0.023, 0.165], [0.940, 0.713, 0.647], [0.060, 0.713, 0.147]],
  "ef_kj_per_mol_fu": -3219,
  "final_energy_ev_per_atom": -6.40
}

{
  "formula": "K3CrO4",
  "functional": "PBE+U",
  "state": "relaxed",
  "cell": [[-6.039, 0.386, -1.065], [0.227, -7.501, -4.009], [-1.120, -2.874, 5.314]],
  "species": ["K", "K", "K", "K", "K", "K", "Cr", "Cr", "O", "O", "O", "O", "O", "O", "O", "O"],
  "fractional_positions": [[0.000, 0.250, 0.500], [0.500, 0.750, 0.000], [0.500, 0.250, 0.000], [0.000, 0.750, 0.500], [0.000, 0.500, 0.000], [0.500, 0.000, 0.500], [0.000, 0.000, 0.000], [0.500, 0.500, 0.500], [0.331, 0.608, 0.669], [0.831, 0.108, 0.169], [0.831, 0.892, 0.831], [0.331, 0.392, 0.331], [0.669, 0.392, 0.669], [0.169, 0.892, 0.169], [0.169, 0.108, 0.831], [0.669, 0.608, 0.331]],
  "piezo_max_c_m2": 1.2,
  "ef_kj_per_mol_fu": -1494,
  "final_energy_ev_per_atom": -5.44
}

{
  "formula": "KCrO2",
  "functional": "PBE+U",
  "state": "relaxed",
  "cell": [[6.073, -1.562, 0.000], [6.073, 1.562, 0.000], [5.672, 0.000, 2.675]],
  "species": ["K", "Cr", "O", "O"],
  "fractional_positions": [[0.000, 0.000, 0.000], [0.500, 0.500, 0.500], [0.776, 0.776, 0.776], [0.224, 0.224, 0.224]],
  "ef_kj_per_mol_fu": -820,
  "e_above_lowest_polymorph_kj_per_mol_fu": 0.1,
  "final_energy_ev_per_atom": -6.45
}

{
  "formula": "KCrO2",
  "functional": "PBE+U",
  "state": "relaxed",
  "cell": [[-1.559, -2.700, 0.000], [-1.559, 2.700, 0.000], [0.000, 0.000, -12.027]],
  "species": ["K", "K", "Cr", "Cr", "O", "O", "O", "O"],
  "fractional_positions": [[0.667, 0.333, 0.750], [0.333, 0.667, 0.250], [0.000, 0.000, 0.500], [0.000, 0.000, 0.000], [0.667, 0.333, 0.086], [0.333, 0.667, 0.914], [0.333, 0.667, 0.586], [0.667, 0.333, 0.414]],
  "ef_kj_per_mol_fu": -820,
  "e_above_lowest_polymorph_kj_per_mol_fu": 0.0,
  "final_energy_ev_per_atom": -6.45
}